PBE+U Na6MgCo2O6, relaxed; calculated total energy = -68.9 eV per formula unit; energy above the most stable polymorph in this dataset = 68 meV/atom; E_form = -1.522 eV/atom
1.0
4.217 0.000 0.000
0.000 4.722 5.732
0.000 -4.722 5.732
Na Mg Co O
6 1 2 6
Direct
0.000 0.000 0.000
0.000 0.093 0.563
0.000 0.563 0.093
0.500 0.336 0.830
0.500 0.830 0.336
0.500 0.833 0.833
0.500 0.427 0.427
0.000 0.627 0.627
0.500 0.197 0.197
0.000 0.371 0.674
0.000 0.674 0.371
0.000 0.787 0.787
0.500 0.040 0.040
0.500 0.153 0.456
0.500 0.456 0.153